# 1
This record from the Materials Project database describes a geometry-optimized MnH3C5NO6 structure. The functional is GGA+U.

```
32
Lattice="-4.364 0.326 -6.681 3.104 -2.979 -6.728 -3.333 -7.491 -2.902" Properties=species:S:1:pos:R:3 pbc="T T T"
Mn -0.734 -6.563 -11.501
Mn -2.820 -1.157 -10.026
H -3.696 -7.272 -11.538
H -0.508 -8.082 -8.908
H -3.223 -6.338 -6.190
H -4.068 -2.024 -7.424
H -1.353 -3.826 -10.092
H -0.923 -2.873 -4.743
C -3.266 -7.693 -12.464
C -1.519 -7.647 -8.889
C -2.618 -6.364 -5.270
C -3.066 -2.480 -7.418
C -1.964 -3.786 -11.011
C -1.339 -2.447 -3.817
C -4.411 -5.010 -8.987
C 0.829 -2.845 -7.559
C -0.162 -5.084 -7.066
C -5.395 -7.251 -8.494
N -4.906 -6.130 -8.751
N 0.336 -3.966 -7.323
O -2.005 -7.520 -12.684
O -1.897 -6.945 -9.880
O -2.647 -5.405 -4.462
O -2.303 -2.283 -8.416
O -2.686 -2.736 -11.218
O -0.601 -1.827 -3.013
O -2.591 -2.610 -3.589
O -2.698 -3.182 -6.401
O -1.947 -4.738 -11.813
O -2.276 -7.852 -7.866
O -1.894 -7.401 -5.055
O -3.990 -8.317 -13.262
```

Values from the calculation:
Energy with MP2020 corrections ... -7.1209 eV per atom
Formation energy from the elements ... -652 meV per atom

# 2
This record from the Materials Project database describes a geometry-optimized MnH3C5NO6 structure. The functional is GGA+U.

```
32
Lattice="0.194 -3.059 -7.436 -1.515 7.794 0.974 6.846 2.021 -5.153" Properties=species:S:1:pos:R:3 pbc="T T T"
Mn 2.863 1.838 -9.520
Mn -1.317 4.729 -6.464
H 0.793 4.007 -4.410
H 1.550 -0.216 -7.749
H 0.418 6.828 -1.164
H 3.973 6.998 -3.862
H 5.108 -0.079 -10.422
H 4.735 2.732 -7.205
C 0.598 5.083 -4.285
C 1.372 2.410 -1.327
C 0.795 3.120 -7.730
C 4.169 4.344 -10.273
C 4.728 3.611 -3.868
C 4.931 1.655 -7.333
C 2.683 1.030 -4.714
C 5.347 5.875 -7.025
C 2.914 5.406 -6.710
C 0.230 0.595 -4.539
N 1.451 0.832 -4.642
N 4.129 5.648 -6.869
O 1.219 5.737 -3.398
O 1.882 3.116 -2.280
O 1.673 2.215 -7.801
O 4.662 5.475 -10.040
O 5.419 3.409 -4.929
O 5.790 1.094 -6.559
O 4.318 1.002 -8.220
O 3.655 3.624 -9.331
O 3.842 4.513 -3.812
O 0.910 1.260 -1.537
O 0.098 3.310 -6.672
O -0.264 5.645 -5.052
```

Values from the calculation:
Energy with MP2020 corrections ... -7.1221 eV per atom
Formation energy from the elements ... -653 meV per atom

# 3
This record from the Materials Project database describes a geometry-optimized MnH8C3N2O6 structure. The functional is GGA+U.

```
80
Lattice="-2.149 -5.368 -7.000 -5.786 -3.320 4.323 -7.673 8.226 -3.953" Properties=species:S:1:pos:R:3 pbc="T T T"
Mn -4.768 4.846 -2.649
Mn -8.713 -7.588 -2.885
Mn -4.755 -3.249 -1.540
Mn -8.726 0.507 -3.994
H -8.275 -0.488 -6.874
H -5.177 -2.285 1.354
H -6.983 -5.389 -1.599
H -6.470 2.616 -3.920
H -11.110 -1.277 -4.670
H -3.049 -0.738 -1.213
H -4.297 -3.522 -4.584
H -9.862 1.506 -1.300
H -7.070 6.627 -3.379
H -10.211 -5.296 -4.112
H -7.031 -1.403 -2.186
H -10.250 2.735 -5.306
H -12.503 0.639 -3.459
H -3.994 -0.147 -3.629
H -6.513 -3.660 -6.050
H -9.985 4.151 -1.038
H -7.745 2.995 -6.803
H -8.330 -2.956 -0.067
H -7.512 -4.554 -4.981
H -8.563 4.593 -1.889
H -8.426 3.951 -8.038
H -9.590 -1.832 0.168
H -7.935 -2.950 -5.371
H -10.081 5.069 -2.499
H -13.233 2.501 -2.619
H -5.164 0.027 -5.447
H -5.839 1.708 -0.640
H -12.558 0.820 -7.426
H -8.733 5.109 -6.187
H -9.775 -2.462 -1.937
H -7.058 1.165 0.335
H -11.451 1.482 -8.459
C -7.943 0.563 -6.975
C -6.211 -2.584 1.095
C -6.945 -5.073 -2.659
C -7.209 3.052 -3.221
C -10.294 -1.972 -4.945
C -2.690 -1.304 -0.332
C -3.278 -3.709 -4.196
C -9.706 0.433 -1.082
C -12.063 3.813 0.361
C -5.259 -2.438 -7.873
C -6.256 -0.942 -2.826
C -11.066 2.317 -4.687
N -13.445 0.581 -2.998
N -3.585 0.482 -4.364
N -7.501 -3.833 -5.741
N -9.529 4.896 -1.622
N -7.729 5.005 -6.382
N -9.939 -3.259 -1.309
N -6.066 1.031 0.100
N -11.602 0.716 -7.791
O -7.428 0.926 -8.073
O -7.090 -2.557 2.005
O -6.188 -4.107 -2.972
O -8.329 2.476 -3.096
O -8.100 1.339 -5.972
O -6.445 -2.941 -0.110
O -7.668 -5.710 -3.499
O -6.877 4.108 -2.583
O -10.602 -3.138 -5.339
O -1.769 -0.794 0.377
O -3.081 -3.614 -2.946
O -9.290 -0.318 -2.016
O -9.096 -1.542 -4.843
O -3.234 -2.435 -0.098
O -2.372 -4.008 -5.045
O -9.958 0.031 0.104
O -10.946 3.210 0.234
O -4.969 -3.343 -7.022
O -5.048 -1.321 -2.660
O -10.867 1.188 -4.128
O -12.319 4.950 -0.141
O -6.439 -2.035 -8.111
O -6.618 -0.071 -3.674
O -12.140 2.985 -4.578
```

Values from the calculation:
Energy with MP2020 corrections ... -6.5072 eV per atom
Formation energy from the elements ... -990 meV per atom

# 4
This record from the Materials Project database describes a geometry-optimized MnH9C4NO6 structure. The functional is GGA+U.

```
84
Lattice="-1.624 -6.924 -4.416 7.854 -3.135 2.028 -4.638 -5.221 9.891" Properties=species:S:1:pos:R:3 pbc="T T T"
Mn 0.796 -7.640 3.751
Mn 0.000 0.000 0.000
Mn 3.115 -5.029 -1.194
Mn -2.319 -2.610 4.945
H -0.253 -11.614 4.867
H -3.866 -8.707 4.707
H 1.846 -3.665 2.636
H 5.459 -6.572 2.796
H 1.871 -5.654 7.977
H -3.473 -8.101 6.243
H 0.368 -8.899 -1.851
H 4.420 -7.906 2.636
H -0.278 -9.626 -0.474
H 5.066 -7.179 1.260
H 1.225 -6.381 9.354
H -2.827 -7.374 4.866
H 3.484 -6.791 4.965
H 1.655 -2.582 -0.092
H -3.900 -10.750 6.823
H 1.947 -10.436 3.310
H -1.891 -8.488 2.538
H -0.062 -12.697 7.595
H 5.493 -4.529 0.680
H -0.354 -4.844 4.193
H 1.829 -6.805 0.971
H 5.168 -10.882 0.385
H -0.236 -8.474 6.532
H -3.575 -4.398 7.118
H -0.474 -6.281 7.578
H 3.141 -9.178 7.744
H 2.067 -8.999 -0.075
H -1.548 -6.102 -0.242
H -1.869 -11.432 3.110
H 2.109 -10.630 7.589
H 4.147 -3.077 2.931
H -1.202 -5.421 1.375
H 3.462 -3.848 4.392
H -0.516 -4.650 -0.086
H -2.554 -12.203 4.572
H 2.795 -9.858 6.128
C 2.789 -6.512 5.782
C -3.259 -7.694 8.731
C 0.809 -6.510 -2.556
C 2.847 -9.843 3.049
C -1.196 -8.767 1.721
C 4.852 -7.586 -1.228
C 0.784 -8.770 10.059
C -1.254 -5.436 4.454
C 1.891 -5.839 1.510
C 6.428 -4.804 4.184
C -0.298 -9.440 5.993
C -4.836 -10.476 3.319
C -0.219 -5.396 8.165
C 2.973 -10.097 7.180
C 1.812 -9.883 -0.662
C -1.380 -5.183 0.322
N -0.476 -12.464 4.314
N -3.686 -7.840 5.249
N 2.069 -2.815 3.189
N 5.279 -7.440 2.254
O 1.565 -6.799 5.657
O -3.897 -6.664 8.375
O 1.658 -6.646 -1.630
O 3.861 -10.450 2.604
O 0.028 -8.481 1.846
O 5.490 -8.616 -0.872
O -0.065 -8.634 9.133
O -2.268 -4.829 4.899
O 3.293 -5.920 6.798
O -2.898 -8.631 7.938
O 0.012 -7.431 -2.948
O 2.778 -8.576 3.218
O -1.700 -9.359 0.704
O 4.491 -6.648 -0.435
O 1.580 -7.848 10.451
O -1.185 -6.703 4.285
O 1.492 -5.798 2.716
O 6.658 -4.777 2.934
O -0.758 -10.448 6.618
O -4.207 -9.536 2.738
O 0.101 -9.481 4.787
O -5.065 -10.502 4.569
O 2.351 -4.832 0.885
O 5.800 -5.744 4.765
```

Values from the calculation:
Energy with MP2020 corrections ... -6.4499 eV per atom
Formation energy from the elements ... -991 meV per atom
Excess energy over the best structure of this formula in the dataset ... 0.0000 eV per atom

# 5
This record from the Materials Project database describes a geometry-optimized MnP3H10C3NO9 structure. The functional is GGA+U.

```
108
Lattice="8.525 0.000 0.000 0.000 9.248 0.000 0.000 7.356 13.465" Properties=species:S:1:pos:R:3 pbc="T T T"
Mn 4.559 10.449 10.040
Mn 8.228 6.771 3.307
Mn 3.966 6.155 3.425
Mn 0.297 9.833 10.158
P 2.555 10.903 12.684
P 1.708 7.225 5.952
P 5.970 5.702 0.781
P 6.818 9.380 7.514
P 1.486 3.764 3.438
P 2.776 7.442 10.170
P 7.039 12.840 10.027
P 5.749 9.162 3.295
P 1.736 8.309 1.122
P 2.526 11.987 7.855
P 6.789 8.295 12.343
P 5.999 4.617 5.610
H 3.032 5.298 0.432
H 1.230 8.976 7.164
H 5.493 11.306 13.033
H 7.295 7.628 6.301
H 3.336 2.684 1.363
H 0.927 6.362 8.095
H 5.189 13.920 12.102
H 7.599 10.242 5.370
H 2.145 11.847 5.228
H 2.118 15.525 11.961
H 6.381 4.758 8.237
H 6.407 1.080 1.504
H 3.892 8.343 1.531
H 0.371 12.021 8.264
H 4.633 8.262 11.934
H 8.155 4.584 5.202
H 3.129 1.396 0.158
H 1.134 5.074 6.891
H 5.397 15.209 13.307
H 7.391 11.531 6.574
H 0.637 1.685 0.439
H 3.626 5.363 7.171
H 7.888 14.919 13.026
H 4.899 11.241 6.294
H 0.550 3.880 1.234
H 3.713 7.558 7.966
H 7.975 12.725 12.231
H 4.812 9.047 5.499
H 8.240 2.679 2.240
H 4.548 6.357 8.972
H 0.285 13.925 11.226
H 3.977 10.247 4.493
H 2.200 10.008 2.770
H 2.063 13.686 9.502
H 6.326 6.596 10.695
H 6.462 2.918 3.963
H 0.457 9.791 2.517
H 3.806 13.469 9.249
H 8.069 6.813 10.948
H 4.719 3.135 4.216
C 2.674 2.303 0.571
C 1.589 5.981 7.304
C 5.851 14.301 12.894
C 6.937 10.623 6.161
C 0.703 3.049 1.938
C 3.560 6.727 8.670
C 7.822 13.555 11.527
C 4.965 9.877 4.795
C 1.421 9.901 2.005
C 2.841 13.579 8.737
C 7.104 6.703 11.460
C 5.684 3.026 4.728
N 1.355 1.917 1.182
N 2.908 5.595 7.915
N 7.170 14.687 12.283
N 5.618 11.009 5.550
O 3.943 10.949 12.053
O 0.320 7.271 5.321
O 4.582 5.656 1.412
O 8.205 9.334 8.144
O 2.253 12.309 13.380
O 2.010 8.631 6.648
O 6.273 4.295 0.085
O 6.515 7.973 6.817
O 1.360 10.552 11.839
O 2.903 6.874 5.106
O 7.165 6.052 1.626
O 5.622 9.730 8.359
O 0.426 4.777 3.872
O 3.837 8.455 10.605
O 8.099 11.827 9.593
O 4.688 8.149 2.860
O 1.520 2.526 4.434
O 2.743 6.204 11.166
O 7.005 14.078 9.031
O 5.782 10.400 2.299
O 2.880 4.311 3.218
O 1.382 7.989 9.951
O 5.645 12.293 10.247
O 7.143 8.615 3.514
O 3.268 8.358 0.728
O 0.994 12.036 7.461
O 5.257 8.246 12.737
O 7.531 4.568 6.004
O 1.467 7.282 2.218
O 2.796 10.960 8.950
O 7.058 9.322 11.247
O 5.729 5.644 4.515
O 1.002 15.547 13.269
O 3.261 11.869 6.537
O 7.523 1.058 0.196
O 5.264 4.735 6.928
```

Values from the calculation:
Energy with MP2020 corrections ... -6.4955 eV per atom
Formation energy from the elements ... -1315 meV per atom

# 6
This record from the Materials Project database describes a geometry-optimized MnH8C2S2N2O4 structure. The functional is GGA+U.

```
38
Lattice="9.210 0.000 0.000 0.000 7.656 0.000 0.000 3.296 7.364" Properties=species:S:1:pos:R:3 pbc="T T T"
Mn 4.605 5.476 3.682
Mn 0.000 1.648 3.682
H 8.091 0.906 1.261
H 5.724 4.734 1.261
H 5.130 3.421 1.847
H 8.851 3.995 2.197
H 7.400 3.730 2.749
H 8.684 7.249 1.847
H 4.963 7.823 2.197
H 6.414 7.558 2.749
H 2.795 3.394 4.616
H 4.247 3.129 5.168
H 0.525 3.703 5.517
H 1.810 7.222 4.616
H 0.358 6.957 5.168
H 4.080 7.531 5.517
H 3.486 6.218 6.103
H 1.119 10.046 6.103
C 2.624 1.806 1.653
C 1.981 5.634 1.653
C 7.228 5.318 5.711
C 6.586 9.146 5.711
S 3.952 1.711 0.706
S 0.653 5.539 0.706
S 8.557 5.413 6.659
S 5.258 9.241 6.659
N 1.670 1.858 2.348
N 2.934 5.686 2.348
N 6.275 5.265 5.016
N 7.539 9.093 5.016
O 5.686 4.203 2.097
O 8.352 3.521 2.900
O 8.129 8.031 2.097
O 5.462 7.349 2.900
O 3.748 3.603 4.464
O 1.081 2.920 5.267
O 0.857 7.431 4.464
O 3.524 6.748 5.267
```

Values from the calculation:
Energy with MP2020 corrections ... -6.0948 eV per atom
Formation energy from the elements ... -858 meV per atom

- Which formula does entry 2 have?
  MnH3C5NO6

- energy with MP2020 corrections of number 2 (MnH3C5NO6)?
  -7.1221 eV per atom